MgFe6O10F2: relaxed, PBE with a Hubbard U.

Cell: 5.7493 5.8655 7.6398 Å, 109.39 97.44 111.76°
Closest atoms and distances in Å follow each position.
Space group P1 (No. 1)
One atom of each set of equivalent atoms:
Mg: 0.0000 0.0000 0.0000 [1 per cell]  4 O 2.00-2.01, 2 F 2.09
Fe: 0.0010 0.9997 0.5000 [1 per cell]  4 O 1.98-2.00, 2 F 2.14
Fe: 0.0010 0.5008 0.0007 [1 per cell]  4 O 1.94-1.98
Fe: 0.3222 0.5589 0.3759 [1 per cell]  5 O 1.95-2.01
Fe: 0.3859 0.9743 0.8190 [1 per cell]  4 O 1.89-1.98
Fe: 0.6147 0.0270 0.1820 [1 per cell]  4 O 1.89-1.98
Fe: 0.6805 0.4395 0.6238 [1 per cell]  5 O 1.96-2.01
O: 0.0327 0.6813 0.8212 [1 per cell]  3 Fe 1.98-2.13, 1 Mg 2.01
O: 0.2319 0.8319 0.5441 [1 per cell]  3 Fe 1.92-1.98
O: 0.3052 0.3128 0.5034 [1 per cell]  3 Fe 1.97-2.00
O: 0.3532 0.6956 0.1752 [1 per cell]  3 Fe 1.94-1.95
O: 0.3909 0.1560 0.0904 [1 per cell]  2 Fe 1.89-1.98, 1 Mg 2.00
O: 0.6095 0.8456 0.9114 [1 per cell]  2 Fe 1.89-1.98, 1 Mg 2.00
O: 0.6493 0.3046 0.8264 [1 per cell]  3 Fe 1.94-1.96
O: 0.6963 0.6872 0.4965 [1 per cell]  3 Fe 1.97-2.00
O: 0.7705 0.1682 0.4562 [1 per cell]  3 Fe 1.92-1.98
O: 0.9698 0.3195 0.1800 [1 per cell]  3 Fe 1.98-2.13, 1 Mg 2.01
F: 0.0767 0.1812 0.8073 [1 per cell]  1 Mg 2.09, 2 Fe 2.14-2.19
F: 0.9254 0.8186 0.1928 [1 per cell]  1 Mg 2.09, 2 Fe 2.14-2.18

## Properties
Offset from the most stable computed form ... 28 meV/atom
Total magnetic moment ... 1.474 μB/atom
DFT formation energy ... -1744 meV per atom
Electronic total energy ... -117.54 eV/cell